[1]
The following is a PBE calculation of a relaxed Cu5Sn4 crystal, from Materials Project.

Structure (POSCAR):
```
Cu5Sn4
1.0
10.0338 0.0000 0.0000
0.0000 7.3246 0.0000
-4.6922 0.0000 8.8174
Cu Sn
20 16
Cartesian
-1.5214 1.6356 3.9074
-3.8675 2.0267 8.3161
0.4339 5.4498 2.7634
-1.9122 5.5371 7.1721
1.6256 4.3159 0.5481
-0.7205 6.6710 4.9568
-0.0345 1.6350 6.0280
2.3116 2.0273 1.6193
1.6425 5.4410 5.0134
3.9886 5.5459 0.6047
1.3530 1.7787 8.2127
3.6991 1.8836 3.8040
3.0301 5.2973 7.1981
5.3762 5.6896 2.7894
6.0622 0.6536 3.8606
3.7161 3.0087 8.2693
7.2538 1.7875 1.6453
4.9078 1.8748 6.0540
9.2091 5.2979 0.5013
6.8630 5.6890 4.9100
-2.6479 0.7286 6.3099
-0.3018 2.9337 1.9012
-0.8097 4.0396 4.9790
1.5364 6.9473 0.5703
1.2634 0.6360 3.7268
-1.0827 3.0263 8.1355
3.0207 4.3771 2.9208
0.6746 6.6098 7.3295
4.6671 0.7148 1.4879
2.3210 2.9475 5.8966
6.4244 4.2983 0.6819
4.0783 6.6886 5.0906
3.8053 0.3773 8.2470
6.1513 3.2850 3.8384
5.6435 4.3909 6.9162
7.9896 6.5960 2.5075
```

Output
Its excess energy over the best structure of this formula in the dataset is 0.0 meV per atom.



[2]
The following is a PBE calculation of a relaxed Cu3Sn crystal, from Materials Project.

Structure (POSCAR):
```
Cu3Sn
1.0
2.8196 -23.9022 0.0000
2.8196 23.9022 0.0000
0.0000 0.0000 4.3329
Cu Sn
30 10
Cartesian
2.8196 22.4594 3.2497
1.3910 10.2974 3.2497
1.4318 8.8205 1.0832
2.8196 17.7260 3.2497
1.4032 5.5166 3.2497
1.4452 4.0324 1.0832
1.3409 0.7452 3.2497
2.8196 12.9321 3.2497
1.3409 -0.7452 1.0832
2.8196 8.1410 3.2497
1.4452 -4.0324 3.2497
1.4032 -5.5166 1.0832
2.8196 3.3274 3.2497
1.4318 -8.8205 3.2497
1.3910 -10.2974 1.0832
4.2481 10.2974 3.2497
4.2073 8.8205 1.0832
2.8196 -3.3274 1.0832
4.2359 5.5166 3.2497
4.1940 4.0324 1.0832
2.8196 -8.1410 1.0832
4.2983 0.7452 3.2497
2.8196 -12.9321 1.0832
4.2983 -0.7452 1.0832
4.1940 -4.0324 3.2497
4.2359 -5.5166 1.0832
2.8196 -17.7260 1.0832
4.2073 -8.8205 3.2497
4.2481 -10.2974 1.0832
2.8196 -22.4594 1.0832
2.8196 20.7379 1.0832
2.8196 15.9920 1.0832
2.8196 11.2112 1.0832
2.8196 6.4316 1.0832
2.8196 1.6318 1.0832
2.8196 -1.6318 3.2497
2.8196 -6.4316 3.2497
2.8196 -11.2112 3.2497
2.8196 -15.9920 3.2497
2.8196 -20.7379 3.2497
```



[3]
The following is a PBE calculation of a relaxed Cu3Sn crystal, from Materials Project.

Structure (POSCAR):
```
Cu3Sn
1.0
4.3571 0.0000 0.0000
0.0000 5.4521 0.0000
0.0000 0.0000 4.8613
Cu Sn
6 2
Cartesian
1.0893 0.0086 0.7514
1.0893 2.7174 0.7514
1.0893 4.0891 3.3760
3.2678 1.3630 1.4853
3.2678 2.7347 4.1099
3.2678 5.4435 4.1099
1.0893 1.3630 3.1971
3.2678 4.0891 1.6642
```



[4]
The following is a PBE calculation of a relaxed Cu19Sn16 crystal, from Materials Project.

Structure (POSCAR):
```
Cu19Sn16
1.0
7.5487 0.0000 0.0000
-0.0556 9.7764 0.0000
-0.0300 -4.3774 8.7600
Cu Sn
19 16
Cartesian
0.0000 0.0000 0.0000
7.5246 1.2158 2.2522
0.0869 4.0751 6.5143
0.1277 2.6467 4.4101
0.1991 -0.8084 6.5173
0.1866 7.5130 4.4257
0.3333 0.5051 8.7160
0.3507 6.1175 2.2399
1.3373 5.0816 4.4155
2.7408 5.5264 1.0748
3.7512 4.4646 3.2586
3.7400 5.7480 5.5129
3.9245 3.0656 1.0997
3.9282 -2.7415 7.7084
3.9571 2.1352 7.7269
3.9649 7.9677 1.0835
4.0753 0.8198 5.5002
4.1053 -0.3880 3.2680
5.1657 0.6240 1.1005
1.3415 3.5026 2.1323
1.3842 -3.2323 6.7488
1.3477 3.0957 8.6869
1.5146 0.2204 4.3509
2.4781 0.5961 1.1386
2.6767 3.1282 5.5693
2.7316 -0.3286 7.5119
2.7469 7.0980 3.3527
5.1262 4.5664 7.5209
5.1726 2.1335 3.4171
5.2665 -1.6396 5.4946
5.4362 5.5053 1.1321
6.1933 5.1135 4.3440
6.4479 -1.7968 8.6761
6.4765 1.5907 6.6256
6.5036 8.4216 2.2360
```



no.,formation enthalpy at 0 K (kJ per mole of atoms),calculated density (g/cm3),E_tot (eV/atom)
1,-1,8.12,-4.07
2,1,8.80,-4.06
3,1,8.90,-4.07
4,0,7.98,-4.06